This record from the Materials Project describes an optimized crystal structure of Nd2S3. The functional is GGA-PBE.

Values from the calculation:
- ΔH_f (0 K) (meV per atom) = -2361
- E_tot (eV for the cell shown) = -129.0

a = 4.058 Å, b = 7.513 Å, c = 15.683 Å
α = 90.00°, β = 90.00°, γ = 90.00°
Positions (direct):
S (0.250, 0.146, 0.219)
Nd (0.750, 0.855, 0.204)
S (0.750, 0.626, 0.567)
Nd (0.750, 0.235, 0.544)
S (0.250, 0.374, 0.433)
S (0.750, 0.354, 0.719)
S (0.750, 0.490, 0.109)
S (0.250, 0.874, 0.067)
Nd (0.750, 0.355, 0.296)
S (0.250, 0.646, 0.281)
S (0.750, 0.126, 0.933)
S (0.250, 0.510, 0.891)
S (0.250, 0.010, 0.609)
Nd (0.250, 0.265, 0.044)
Nd (0.250, 0.645, 0.704)
S (0.750, 0.990, 0.391)
Nd (0.250, 0.145, 0.796)
Nd (0.750, 0.735, 0.956)
S (0.750, 0.854, 0.781)
Nd (0.250, 0.765, 0.456)

This record from the Materials Project describes an optimized crystal structure of Na21Mg8Ta4Si3P15O72. The functional is GGA-PBE.

Values from the calculation:
- ΔH_f (0 K) (meV per atom) = -2842
- E_tot (eV for the cell shown) = -841.9

a = 9.024 Å, b = 9.030 Å, c = 21.948 Å
α = 89.76°, β = 90.21°, γ = 119.92°
Positions (direct):
Mg (0.000, 0.008, 0.853)
O (0.873, 0.520, 0.142)
O (0.141, 0.653, 0.082)
Mg (0.002, 0.005, 0.149)
Na (0.978, 0.677, 0.914)
Na (0.293, 0.334, 0.586)
P (0.004, 0.705, 0.751)
O (0.987, 0.194, 0.307)
O (0.675, 0.159, 0.030)
O (0.477, 0.321, 0.027)
O (0.548, 0.686, 0.978)
Si (0.034, 0.362, 0.923)
O (0.683, 0.526, 0.246)
Na (0.989, 0.638, 0.239)
O (0.483, 0.145, 0.247)
Na (0.713, 0.693, 0.409)
O (0.845, 0.323, 0.528)
Na (0.656, 0.317, 0.830)
O (0.142, 0.501, 0.863)
Na (0.292, 0.958, 0.086)
P (0.667, 0.627, 0.586)
O (0.475, 0.131, 0.643)
O (0.517, 0.686, 0.258)
O (0.820, 0.018, 0.800)
O (0.481, 0.330, 0.746)
Na (0.993, 0.993, 0.496)
Ta (0.669, 0.333, 0.480)
O (0.805, 0.790, 0.308)
Na (0.655, 0.640, 0.744)
O (0.516, 0.828, 0.757)
O (0.967, 0.164, 0.582)
O (0.023, 0.219, 0.191)
Na (0.984, 0.342, 0.747)
O (0.504, 0.641, 0.583)
O (0.671, 0.150, 0.746)
Na (0.002, 0.024, 0.994)
O (0.832, 0.801, 0.582)
O (0.175, 0.690, 0.757)
Na (0.045, 0.337, 0.080)
O (0.498, 0.860, 0.362)
O (0.834, 0.033, 0.083)
Mg (0.669, 0.334, 0.685)
P (0.334, 0.376, 0.421)
Mg (0.333, 0.663, 0.017)
O (0.629, 0.148, 0.423)
O (0.655, 0.525, 0.643)
Si (0.630, 0.961, 0.421)
O (0.169, 0.484, 0.256)
Ta (0.332, 0.664, 0.819)
P (0.296, 0.001, 0.251)
O (0.196, 0.030, 0.583)
O (0.874, 0.349, 0.643)
Na (0.336, 0.669, 0.661)
Na (0.334, 0.647, 0.160)
O (0.848, 0.329, 0.248)
Mg (0.998, 0.000, 0.649)
O (0.486, 0.354, 0.139)
P (0.962, 0.332, 0.586)
P (0.630, 0.667, 0.921)
Na (0.314, 0.018, 0.409)
O (0.812, 0.810, 0.911)
O (0.184, 0.966, 0.194)
O (0.212, 0.011, 0.310)
O (0.500, 0.142, 0.921)
Si (0.040, 0.670, 0.421)
Na (0.045, 0.709, 0.581)
O (0.186, 0.196, 0.410)
O (0.133, 0.459, 0.983)
O (0.647, 0.123, 0.143)
P (0.376, 0.334, 0.085)
P (0.371, 0.040, 0.586)
O (0.136, 0.633, 0.362)
O (0.175, 0.974, 0.910)
O (0.982, 0.790, 0.807)
Mg (0.000, 0.000, 0.349)
P (0.701, 0.703, 0.250)
O (0.767, 0.960, 0.688)
O (0.309, 0.826, 0.256)
O (0.507, 0.860, 0.080)
O (0.847, 0.490, 0.423)
P (0.334, 0.962, 0.920)
Ta (0.332, 0.668, 0.314)
O (0.506, 0.368, 0.423)
Na (0.657, 0.013, 0.240)
O (0.776, 0.817, 0.193)
Mg (0.662, 0.333, 0.185)
Mg (0.336, 0.669, 0.518)
P (0.295, 0.297, 0.749)
O (0.852, 0.520, 0.746)
Na (0.360, 0.014, 0.745)
O (0.965, 0.802, 0.084)
O (0.675, 0.521, 0.529)
O (0.036, 0.814, 0.693)
O (0.203, 0.177, 0.801)
P (0.003, 0.299, 0.250)
P (0.960, 0.628, 0.085)
O (0.846, 0.364, 0.921)
Na (0.664, 0.953, 0.582)
O (0.356, 0.862, 0.583)
O (0.844, 0.524, 0.028)
O (0.315, 0.483, 0.759)
Na (0.651, 0.335, 0.321)
O (0.476, 0.154, 0.529)
Ta (0.664, 0.330, 0.979)
O (0.147, 0.691, 0.482)
P (0.666, 0.039, 0.086)
O (0.511, 0.648, 0.864)
O (0.823, 0.002, 0.411)
O (0.635, 0.493, 0.921)
O (0.011, 0.830, 0.412)
O (0.357, 0.495, 0.080)
P (0.701, 0.995, 0.748)
O (0.551, 0.849, 0.481)
O (0.361, 0.867, 0.863)
O (0.199, 0.168, 0.084)
O (0.191, 0.235, 0.689)
O (0.319, 0.859, 0.977)
Na (0.667, 0.706, 0.084)
O (0.309, 0.450, 0.479)
O (0.005, 0.178, 0.912)
O (0.363, 0.500, 0.366)
Na (0.975, 0.295, 0.404)
O (0.141, 0.490, 0.581)

This record from the Materials Project describes an optimized crystal structure of Na2H3CO6. The functional is GGA-PBE.

Values from the calculation:
- ΔH_f (0 K) (meV per atom) = -1257
- E_tot (eV for the cell shown) = -526.9

a = 6.872 Å, b = 9.159 Å, c = 15.930 Å
α = 90.00°, β = 90.00°, γ = 90.00°
Positions (direct):
O (0.096, 0.162, 0.362)
H (0.044, 0.517, 0.896)
O (0.487, 0.321, 0.732)
H (0.553, 0.275, 0.311)
H (0.043, 0.971, 0.918)
H (0.053, 0.725, 0.189)
O (0.411, 0.410, 0.385)
O (0.493, 0.183, 0.091)
O (0.994, 0.394, 0.664)
C (0.004, 0.248, 0.162)
O (0.596, 0.838, 0.138)
O (0.904, 0.338, 0.862)
C (0.996, 0.252, 0.662)
Na (0.753, 0.235, 0.989)
H (0.544, 0.983, 0.896)
H (0.543, 0.529, 0.918)
O (0.987, 0.179, 0.732)
O (0.013, 0.821, 0.268)
O (0.596, 0.338, 0.362)
O (0.487, 0.821, 0.768)
O (0.414, 0.019, 0.474)
H (0.543, 0.029, 0.582)
Na (0.242, 0.501, 0.750)
H (0.957, 0.529, 0.418)
H (0.447, 0.225, 0.811)
O (0.404, 0.662, 0.638)
O (0.007, 0.183, 0.591)
Na (0.247, 0.765, 0.011)
O (0.911, 0.090, 0.385)
H (0.456, 0.517, 0.396)
H (0.457, 0.971, 0.418)
O (0.086, 0.019, 0.974)
O (0.089, 0.910, 0.615)
C (0.496, 0.248, 0.662)
O (0.911, 0.590, 0.115)
Na (0.242, 0.001, 0.750)
Na (0.742, 0.499, 0.750)
H (0.956, 0.983, 0.396)
C (0.004, 0.748, 0.338)
H (0.553, 0.775, 0.189)
C (0.504, 0.752, 0.338)
O (0.013, 0.321, 0.232)
O (0.994, 0.894, 0.836)
H (0.947, 0.275, 0.811)
O (0.507, 0.817, 0.909)
C (0.504, 0.252, 0.162)
O (0.506, 0.394, 0.164)
H (0.956, 0.483, 0.104)
Na (0.753, 0.735, 0.511)
Na (0.247, 0.265, 0.489)
H (0.053, 0.225, 0.311)
O (0.589, 0.590, 0.615)
Na (0.747, 0.235, 0.489)
H (0.043, 0.471, 0.582)
H (0.957, 0.029, 0.082)
O (0.914, 0.481, 0.474)
Na (0.758, 0.499, 0.250)
C (0.996, 0.752, 0.838)
O (0.589, 0.090, 0.885)
O (0.006, 0.606, 0.336)
O (0.513, 0.679, 0.268)
O (0.494, 0.606, 0.836)
O (0.006, 0.106, 0.164)
Na (0.253, 0.765, 0.511)
Na (0.742, 0.999, 0.750)
O (0.586, 0.981, 0.526)
H (0.544, 0.483, 0.604)
Na (0.253, 0.265, 0.989)
H (0.457, 0.471, 0.082)
O (0.993, 0.817, 0.409)
C (0.496, 0.748, 0.838)
O (0.414, 0.519, 0.026)
O (0.086, 0.519, 0.526)
O (0.493, 0.683, 0.409)
O (0.507, 0.317, 0.591)
O (0.506, 0.894, 0.336)
O (0.494, 0.106, 0.664)
O (0.096, 0.662, 0.138)
O (0.404, 0.162, 0.862)
Na (0.747, 0.735, 0.011)
H (0.044, 0.017, 0.604)
O (0.993, 0.317, 0.091)
O (0.513, 0.179, 0.232)
O (0.586, 0.481, 0.974)
O (0.089, 0.410, 0.885)
O (0.904, 0.838, 0.638)
H (0.947, 0.775, 0.689)
O (0.914, 0.981, 0.026)
Na (0.758, 0.999, 0.250)
Na (0.258, 0.001, 0.250)
H (0.456, 0.017, 0.104)
O (0.987, 0.679, 0.768)
H (0.447, 0.725, 0.689)
Na (0.258, 0.501, 0.250)
O (0.007, 0.683, 0.909)
O (0.411, 0.910, 0.115)

This record from the Materials Project describes an optimized crystal structure of Ba2CeTaO6. The functional is GGA-PBE.

Values from the calculation:
- ΔH_f (0 K) (meV per atom) = -3485
- E_tot (eV for the cell shown) = -82.0

a = 6.109 Å, b = 6.109 Å, c = 6.156 Å
α = 60.04°, β = 60.04°, γ = 60.04°
Positions (direct):
Ba (0.752, 0.752, 0.745)
O (0.295, 0.761, 0.702)
O (0.270, 0.270, 0.783)
O (0.730, 0.730, 0.217)
O (0.761, 0.295, 0.702)
Ta (0.500, 0.500, 0.500)
O (0.705, 0.239, 0.298)
O (0.239, 0.705, 0.298)
Ba (0.248, 0.248, 0.255)
Ce (0.000, 0.000, 0.000)